Na3Mg2Al2PS5O24 (GGA-PBE, optimized geometry); total magnetization = 0.00 μB/f.u.; energy of formation = -2431 meV/atom
1.0
-7.309 3.491 -2.823
5.237 -3.949 -5.483
-10.435 -18.919 3.644
S O Na Mg Al P
15 72 9 6 6 3
Direct
0.641 0.971 0.417
0.990 0.703 0.751
0.332 0.975 0.915
0.638 0.667 0.919
0.332 0.363 0.416
0.385 0.330 0.083
0.953 0.341 0.582
0.030 0.362 0.916
0.026 0.666 0.416
0.665 0.052 0.084
0.298 0.009 0.250
0.993 0.286 0.250
0.666 0.610 0.583
0.709 0.705 0.249
0.292 0.292 0.750
0.364 0.900 0.859
0.822 0.526 0.744
0.788 0.979 0.687
0.569 0.865 0.474
0.476 0.310 0.746
0.641 0.136 0.140
0.493 0.159 0.925
0.210 0.035 0.305
0.832 0.028 0.803
0.470 0.309 0.028
0.501 0.626 0.580
0.005 0.828 0.406
0.172 0.178 0.407
0.375 0.498 0.078
0.686 0.525 0.527
0.966 0.791 0.806
0.141 0.439 0.971
0.196 0.034 0.587
0.104 0.630 0.362
0.679 0.156 0.028
0.494 0.352 0.139
0.368 0.863 0.580
0.971 0.174 0.305
0.493 0.340 0.424
0.138 0.702 0.471
0.694 0.180 0.744
0.300 0.442 0.471
0.529 0.681 0.258
0.785 0.805 0.192
0.825 0.794 0.586
0.301 0.860 0.968
0.136 0.629 0.080
0.841 0.507 0.425
0.653 0.507 0.639
0.145 0.675 0.759
0.830 0.038 0.087
0.857 0.505 0.143
0.363 0.475 0.362
0.312 0.470 0.759
0.480 0.177 0.245
0.523 0.887 0.365
0.207 0.169 0.804
0.868 0.360 0.639
0.481 0.162 0.527
0.823 0.297 0.246
0.829 0.799 0.302
0.519 0.844 0.756
0.667 0.157 0.424
0.823 0.992 0.407
0.029 0.818 0.697
0.845 0.335 0.925
0.563 0.697 0.975
0.508 0.868 0.079
0.822 0.828 0.909
0.833 0.522 0.028
0.017 0.205 0.195
0.193 0.982 0.195
0.148 0.469 0.257
0.523 0.638 0.866
0.008 0.178 0.907
0.109 0.475 0.862
0.968 0.802 0.087
0.190 0.212 0.695
0.171 0.997 0.907
0.324 0.852 0.258
0.660 0.505 0.925
0.205 0.172 0.087
0.695 0.522 0.246
0.132 0.500 0.578
0.493 0.137 0.643
0.964 0.174 0.585
0.843 0.321 0.528
0.667 0.334 0.334
0.328 0.653 0.667
0.362 0.995 0.748
0.664 0.960 0.589
0.018 0.004 0.000
0.671 0.706 0.082
0.028 0.003 0.500
0.303 0.663 0.168
0.683 0.341 0.834
0.331 0.666 0.318
0.317 0.665 0.018
0.007 0.000 0.146
0.327 0.669 0.517
0.005 0.001 0.646
0.340 0.669 0.818
0.002 0.001 0.349
0.990 0.001 0.849
0.673 0.339 0.982
0.659 0.328 0.482
0.675 0.338 0.187
0.668 0.327 0.686
0.380 0.049 0.584
0.953 0.614 0.084
0.711 0.005 0.747